Below is a relaxed CsAc3 crystal, with properties calculated at the PBE level.

Summary:
E above lowest polymorph in meV per atom: 13
Calculated volume in Å³/atom: 50.539
E_tot in eV per atom: -2.89
Energy relative to the elements in eV/atom: 0.430
Total moment in μB per atom: 0.175
Space-group type: P6_3/mmc

Cell: 8.437 8.437 6.559 Å, 90.00 90.00 120.00°
Fractional positions:
Cs 0.333 0.667 0.250
Cs 0.667 0.333 0.750
Ac 0.160 0.319 0.750
Ac 0.160 0.840 0.750
Ac 0.319 0.160 0.250
Ac 0.681 0.840 0.750
Ac 0.840 0.160 0.250
Ac 0.840 0.681 0.250